(1)
The following is a DFT calculation (PBE with a Hubbard U) of a geometry-optimized LaVI5O16 structure.

a = 18.3694 Å, b = 7.5922 Å, c = 12.7665 Å
α = 55.91°, β = 90.00°, γ = 90.00°
Closest atoms and distances in Å follow each position.
Fractional coordinates of all 92 atoms:
O  0.2213  0.2603  0.7922  1 I 1.83
O  0.8035  0.1995  0.5243  1 I 1.85
O  0.4218  0.2812  0.3675  1 I 1.86, 1 V 2.01
O  0.1763  0.0494  0.0488  1 I 1.84
O  0.5649  0.3160  0.4162  1 I 1.86, 1 V 2.01
O  0.8134  0.3497  0.6874  1 I 1.83
O  0.3167  0.7835  0.1938  1 I 1.82
O  0.5514  0.9018  0.8778  1 I 1.82
O  0.7213  0.7397  0.7078  1 I 1.83
O  0.5707  0.3602  0.8877  1 I 1.85
O  0.0707  0.6398  0.6123  1 I 1.85
O  0.6613  0.1740  0.6061  1 I 1.82
O  0.3387  0.8260  0.3939  1 I 1.82
O  0.8321  0.6051  0.9133  1 I 1.84
O  0.5782  0.7188  0.6325  1 I 1.86, 1 V 2.01
O  0.0946  0.0050  0.2914  1 I 1.82
O  0.6833  0.2165  0.8062  1 I 1.82
O  0.8387  0.1740  0.1061  1 I 1.82
O  0.1833  0.7835  0.6938  1 I 1.82
O  0.0649  0.6840  0.0838  1 I 1.86, 1 V 2.01
O  0.0230  0.6905  0.2986  1 I 1.90, 1 V 2.11
O  0.5881  0.6496  0.1513  1 I 1.86, 1 V 2.07
O  0.1866  0.6503  0.3126  1 I 1.83
O  0.9054  0.9950  0.7086  1 I 1.82
O  0.4054  0.0050  0.7914  1 I 1.82
O  0.2787  0.2603  0.2922  1 I 1.83
O  0.1613  0.8260  0.8939  1 I 1.82
O  0.0172  0.6826  0.8023  1 V 1.69
O  0.6965  0.1995  0.0243  1 I 1.85
O  0.8167  0.2165  0.3062  1 I 1.82
O  0.4351  0.6840  0.5838  1 I 1.86, 1 V 2.01
O  0.1679  0.3949  0.0867  1 I 1.84
O  0.4770  0.6905  0.7986  1 I 1.90, 1 V 2.11
O  0.9770  0.3095  0.7014  1 I 1.90, 1 V 2.11
O  0.9828  0.3174  0.1977  1 V 1.69
O  0.3134  0.6503  0.8126  1 I 1.83
O  0.1965  0.8005  0.4757  1 I 1.85
O  0.0782  0.2812  0.8675  1 I 1.86, 1 V 2.01
O  0.6866  0.3497  0.1874  1 I 1.83
O  0.5172  0.3174  0.6977  1 V 1.69
O  0.3237  0.0494  0.5488  1 I 1.84
O  0.6763  0.9506  0.4512  1 I 1.84
O  0.0514  0.0982  0.6222  1 I 1.82
O  0.6941  0.7482  0.9765  1 I 1.86
O  0.9119  0.6496  0.6513  1 I 1.86, 1 V 2.07
O  0.3059  0.2518  0.0235  1 I 1.86
O  0.4486  0.0982  0.1222  1 I 1.82
O  0.5946  0.9950  0.2086  1 I 1.82
O  0.9293  0.3602  0.3877  1 I 1.85
O  0.4828  0.6826  0.3023  1 V 1.69
O  0.1941  0.2518  0.5235  1 I 1.86
O  0.9486  0.9018  0.3778  1 I 1.82
O  0.9351  0.3160  0.9162  1 I 1.86, 1 V 2.01
O  0.8059  0.7482  0.4765  1 I 1.86
O  0.0881  0.3504  0.3487  1 I 1.86, 1 V 2.07
O  0.9218  0.7188  0.1325  1 I 1.86, 1 V 2.01
O  0.8237  0.9506  0.9512  1 I 1.84
O  0.4119  0.3504  0.8487  1 I 1.86, 1 V 2.07
O  0.3321  0.3949  0.5867  1 I 1.84
O  0.4293  0.6398  0.1123  1 I 1.85
O  0.7787  0.7397  0.2078  1 I 1.83
O  0.3035  0.8005  0.9757  1 I 1.85
O  0.5230  0.3095  0.2014  1 I 1.90, 1 V 2.11
O  0.6679  0.6051  0.4133  1 I 1.84
I  0.8704  0.1247  0.4479  3 O 1.82-1.85
I  0.8760  0.5388  0.5634  3 O 1.83-1.86
I  0.8361  0.3457  0.9339  3 O 1.82-1.86
I  0.3760  0.4612  0.9366  3 O 1.83-1.86
I  0.6296  0.1247  0.9479  3 O 1.82-1.85
I  0.3252  0.3126  0.3986  3 O 1.83-1.86
I  0.6240  0.5388  0.0635  3 O 1.83-1.86
I  0.0048  0.9783  0.2411  3 O 1.82-1.90
I  0.5048  0.0217  0.2589  3 O 1.82-1.90
I  0.1240  0.4612  0.4366  3 O 1.83-1.86
I  0.3704  0.8753  0.0521  3 O 1.82-1.85
I  0.4952  0.9783  0.7411  3 O 1.82-1.90
I  0.6639  0.3457  0.4339  3 O 1.82-1.86
I  0.9952  0.0217  0.7589  3 O 1.82-1.90
I  0.1296  0.8753  0.5521  3 O 1.82-1.85
I  0.6748  0.6874  0.6014  3 O 1.83-1.86
I  0.8252  0.6874  0.1014  3 O 1.83-1.86
I  0.1639  0.6543  0.0661  3 O 1.82-1.86
I  0.3361  0.6543  0.5661  3 O 1.82-1.86
I  0.1748  0.3126  0.8986  3 O 1.83-1.86
La  0.2666  0.0079  0.7417  9 O 2.48-2.73
La  0.7666  0.9921  0.7583  9 O 2.48-2.73
La  0.7334  0.9921  0.2583  9 O 2.48-2.73
La  0.2334  0.0079  0.2417  9 O 2.48-2.73
V  0.0010  0.5009  0.7685  1 O 1.69
V  0.4990  0.5009  0.2685  1 O 1.69
V  0.9990  0.4991  0.2315  1 O 1.69
V  0.5010  0.4991  0.7315  1 O 1.69

As for the crystal system: monoclinic. The space group is P2_1/c. The value obtained for the spin magnetization is 0.79 μB per formula unit.

(2)
The following is a DFT calculation (PBE with a Hubbard U) of a geometry-optimized LaV2IO9 structure.

a = 7.1784 Å, b = 7.3677 Å, c = 14.8755 Å
α = 90.00°, β = 90.00°, γ = 90.00°
Closest atoms and distances in Å follow each position.
Fractional coordinates of all 52 atoms:
V  0.5318  0.5000  0.7500  2 O 1.69
V  0.1821  0.7500  0.7290  2 O 1.68
V  0.8179  0.7500  0.2290  2 O 1.68
V  0.4682  0.0000  0.2500  2 O 1.69
V  0.5318  0.0000  0.7500  2 O 1.69
V  0.1821  0.2500  0.7710  2 O 1.68
V  0.4682  0.5000  0.2500  2 O 1.69
V  0.8179  0.2500  0.2710  2 O 1.68
I  0.2982  0.7500  0.0574  3 O 1.81-1.85
I  0.2982  0.2500  0.4426  3 O 1.81-1.85
I  0.7018  0.2500  0.9426  3 O 1.81-1.85
I  0.7018  0.7500  0.5574  3 O 1.81-1.85
O  0.6649  0.9573  0.8416  1 V 1.69
O  0.7400  0.0000  0.2500  3 V 1.95
O  0.0127  0.7500  0.8068  1 V 1.68
O  0.3351  0.0427  0.1584  1 V 1.69
O  0.6649  0.0427  0.6584  1 V 1.69
O  0.5334  0.7500  0.2219  3 V 1.95-2.05
O  0.2600  0.5000  0.7500  3 V 1.95
O  0.8256  0.9289  0.4937  1 I 1.85
O  0.0867  0.7500  0.6261  1 V 1.68
O  0.6649  0.5427  0.8416  1 V 1.69
O  0.9133  0.2500  0.3739  1 V 1.68
O  0.8256  0.0711  0.0063  1 I 1.85
O  0.0867  0.2500  0.8739  1 V 1.68
O  0.0127  0.2500  0.6932  1 V 1.68
O  0.5334  0.2500  0.2781  3 V 1.95-2.05
O  0.1744  0.9289  0.9937  1 I 1.85
O  0.4666  0.7500  0.7219  3 V 1.95-2.05
O  0.8256  0.4289  0.0063  1 I 1.85
O  0.1744  0.4289  0.5063  1 I 1.85
O  0.2600  0.0000  0.7500  3 V 1.95
O  0.4772  0.2500  0.9980  1 I 1.81
O  0.9873  0.7500  0.3068  1 V 1.68
O  0.9133  0.7500  0.1261  1 V 1.68
O  0.8256  0.5711  0.4937  1 I 1.85
O  0.4772  0.7500  0.5020  1 I 1.81
O  0.5228  0.7500  0.0020  1 I 1.81
O  0.9873  0.2500  0.1932  1 V 1.68
O  0.3351  0.4573  0.1584  1 V 1.69
O  0.6649  0.4573  0.6584  1 V 1.69
O  0.5228  0.2500  0.4980  1 I 1.81
O  0.3351  0.9573  0.3416  1 V 1.69
O  0.3351  0.5427  0.3416  1 V 1.69
O  0.1744  0.5711  0.9937  1 I 1.85
O  0.1744  0.0711  0.5063  1 I 1.85
O  0.7400  0.5000  0.2500  3 V 1.95
O  0.4666  0.2500  0.7781  3 V 1.95-2.05
La  0.1518  0.7500  0.4501  7 O 2.44-2.66
La  0.8482  0.2500  0.5499  7 O 2.44-2.66
La  0.8482  0.7500  0.9501  7 O 2.44-2.66
La  0.1518  0.2500  0.0499  7 O 2.44-2.66

As for the crystal system: orthorhombic. The space group is Pbcm. The value obtained for the spin magnetization is 0.00 μB per formula unit.

(3)
The following is a DFT calculation (PBE with a Hubbard U) of a geometry-optimized NaMgNiIO6 structure.

a = 5.2767 Å, b = 5.2807 Å, c = 5.3263 Å
α = 89.99°, β = 90.00°, γ = 120.03°
Closest atoms and distances in Å follow each position.
Fractional coordinates of all 10 atoms:
Ni  0.3337  0.6668  0.5000  6 O 2.13-2.14
O  0.3961  0.0326  0.7190  1 I 1.91, 1 Mg 2.13, 1 Ni 2.14
O  0.6374  0.6043  0.7187  1 I 1.91, 1 Mg 2.13, 1 Ni 2.14
O  0.9685  0.3634  0.7185  1 I 1.91, 1 Mg 2.13, 1 Ni 2.13
O  0.3961  0.3635  0.2810  1 I 1.91, 1 Mg 2.13, 1 Ni 2.14
O  0.6374  0.0331  0.2813  1 I 1.91, 1 Mg 2.13, 1 Ni 2.14
O  0.9684  0.6051  0.2815  1 I 1.91, 1 Mg 2.13, 1 Ni 2.13
I  0.6670  0.3335  0.4999  6 O 1.91
Na  0.0017  0.0008  0.0000  6 O 2.50-2.51
Mg  0.6687  0.3344  0.0000  6 O 2.13

As for the crystal system: monoclinic. The space group is C2. The value obtained for the spin magnetization is 2.00 μB per formula unit.

(4)
The following is a DFT calculation (PBE with a Hubbard U) of a geometry-optimized NaMgNiIO6 structure.

a = 5.2205 Å, b = 5.2206 Å, c = 5.7724 Å
α = 90.00°, β = 90.00°, γ = 120.00°
Closest atoms and distances in Å follow each position.
Fractional coordinates of all 10 atoms:
Na  0.0000  0.0000  0.0000  6 O 2.57
I  0.6666  0.3333  0.5000  6 O 1.92
O  0.9729  0.6422  0.3182  1 I 1.92, 1 Mg 2.08, 1 Ni 2.10
O  0.3578  0.3306  0.3182  1 I 1.92, 1 Mg 2.08, 1 Ni 2.10
O  0.3578  0.0272  0.6818  1 I 1.92, 1 Mg 2.08, 1 Ni 2.10
O  0.9729  0.3306  0.6818  1 I 1.92, 1 Mg 2.08, 1 Ni 2.10
O  0.6694  0.0272  0.3182  1 I 1.92, 1 Mg 2.08, 1 Ni 2.10
O  0.6694  0.6422  0.6818  1 I 1.92, 1 Mg 2.08, 1 Ni 2.10
Ni  0.3333  0.6667  0.5000  6 O 2.10
Mg  0.0001  0.0000  0.5000  6 O 2.08

As for the crystal system: trigonal. The space group is P312. The value obtained for the spin magnetization is 2.00 μB per formula unit.

(5)
The following is a DFT calculation (PBE with a Hubbard U) of a geometry-optimized NaMgNiIO6 structure.

a = 5.1636 Å, b = 5.1704 Å, c = 5.0120 Å
α = 89.96°, β = 90.02°, γ = 120.04°
Closest atoms and distances in Å follow each position.
Fractional coordinates of all 10 atoms:
Mg  0.3298  0.6649  0.0000  6 O 2.17-2.19
O  0.6333  0.6188  0.7238  1 I 1.93, 1 Ni 2.02
O  0.9855  0.6194  0.2764  1 I 1.93, 1 Ni 2.03
O  0.6333  0.0145  0.2762  1 I 1.93, 1 Ni 2.02
O  0.3798  0.0135  0.7238  1 I 1.93, 1 Ni 2.03
O  0.9855  0.3661  0.7236  1 I 1.93, 1 Ni 2.03
O  0.3798  0.3663  0.2762  1 I 1.93, 1 Ni 2.03
I  0.6661  0.3330  0.5000  6 O 1.93
Na  0.9984  0.9992  0.0000  6 O 2.37-2.38
Ni  0.3336  0.6668  0.5000  6 O 2.02-2.03

As for the crystal system: monoclinic. The space group is C2. The value obtained for the spin magnetization is 2.00 μB per formula unit.

(6)
The following is a DFT calculation (PBE with a Hubbard U) of a geometry-optimized NaMgNiIO6 structure.

a = 5.2719 Å, b = 5.5013 Å, c = 5.4865 Å
α = 72.09°, β = 88.67°, γ = 122.00°
Closest atoms and distances in Å follow each position.
Fractional coordinates of all 10 atoms:
Ni  0.3539  0.6759  0.4684  6 O 2.08-2.16
O  0.9253  0.2947  0.7231  1 I 1.91, 1 Ni 2.12
O  0.7069  0.1392  0.2723  1 I 1.92, 1 Ni 2.08, 1 Mg 2.15
O  0.3137  0.9136  0.6998  1 I 1.89, 1 Mg 2.03
O  0.4562  0.4556  0.2758  1 I 1.89, 1 Ni 2.08
O  0.5844  0.5090  0.7134  1 I 1.93, 1 Mg 2.02, 1 Ni 2.15
O  0.0329  0.6876  0.2613  1 I 1.94, 1 Ni 2.08, 1 Mg 2.11
I  0.6575  0.3199  0.5027  6 O 1.89-1.94
Na  0.1244  0.1544  0.0829  5 O 2.21-2.47
Mg  0.8946  0.5627  0.9377  5 O 2.02-2.21

As for the crystal system: triclinic. The space group is P1. The value obtained for the spin magnetization is 2.00 μB per formula unit.

(7)
The following is a DFT calculation (PBE with a Hubbard U) of a geometry-optimized NaMnIO6 structure.

a = 5.0931 Å, b = 5.0931 Å, c = 5.3747 Å
α = 90.00°, β = 90.00°, γ = 120.00°
Closest atoms and distances in Å follow each position.
Fractional coordinates of all 9 atoms:
Mn  0.3333  0.6667  0.0000  6 O 1.94
Na  0.6667  0.3333  0.5000  6 O 2.51
O  0.0414  0.3290  0.8004  1 I 1.91, 1 Mn 1.94
O  0.0414  0.7124  0.1996  1 I 1.91, 1 Mn 1.94
O  0.6710  0.7124  0.8004  1 I 1.91, 1 Mn 1.94
O  0.2876  0.9586  0.8004  1 I 1.91, 1 Mn 1.94
O  0.6710  0.9586  0.1996  1 I 1.91, 1 Mn 1.94
O  0.2876  0.3290  0.1996  1 I 1.91, 1 Mn 1.94
I  0.0000  0.0000  0.0000  6 O 1.91

As for the crystal system: trigonal. The space group is P312.

(8)
The following is a DFT calculation (PBE with a Hubbard U) of a geometry-optimized MnI2O6 structure.

a = 5.3302 Å, b = 5.6867 Å, c = 9.7447 Å
α = 90.35°, β = 90.00°, γ = 90.00°
Closest atoms and distances in Å follow each position.
Fractional coordinates of all 18 atoms:
I  0.7390  0.2369  0.4331  3 O 1.84
I  0.7204  0.7703  0.8984  3 O 1.84
I  0.2390  0.7631  0.5669  3 O 1.84
I  0.2204  0.2297  0.1016  3 O 1.84
O  0.0853  0.4871  0.6185  1 I 1.84
O  0.6045  0.6503  0.0610  1 I 1.84
O  0.5956  0.0405  0.3043  1 I 1.84
O  0.0446  0.9516  0.1036  1 I 1.84
O  0.0330  0.4031  0.2246  1 I 1.84
O  0.0350  0.8449  0.4225  1 I 1.84
O  0.0956  0.9595  0.6957  1 I 1.84
O  0.5350  0.1551  0.5775  1 I 1.84
O  0.5446  0.0484  0.8964  1 I 1.84
O  0.5853  0.5129  0.3815  1 I 1.84
O  0.1045  0.3497  0.9390  1 I 1.84
O  0.5330  0.5969  0.7754  1 I 1.84
Mn  0.8179  0.7329  0.2451  6 O 2.17-2.22
Mn  0.3179  0.2671  0.7549  6 O 2.17-2.22

As for the crystal system: monoclinic. The space group is P2_1.

What E (MP2020) values result from the calculations? In sequence: -533.4; -397.4; -54.9; -55.6; -54.5; -55.3; -54.5; -104.8 eV/cell.
What ΔH_f (0 K) values result from the calculations? In sequence: -1.4146; -2.3230; -1.4954; -1.5716; -1.4543; -1.5392; -1.4282; -1.1650 eV per atom.